## Pr2ZnRu (PBE)

Data for a relaxed Pr2ZnRu crystal.

## Properties
SG: Fm-3m
Spin magnetization: 0.0000 μB per atom
Final energy: -5.22 eV/atom
DFT formation energy: -0.193 eV/atom

Geometry as extended XYZ:
```
4
Lattice="0.0000 3.6257 3.6257 3.6257 0.0000 3.6257 3.6257 3.6257 0.0000" Properties=species:S:1:pos:R:3 pbc="T T T"
Pr 1.8128 1.8128 1.8128
Pr 5.4385 5.4385 5.4385
Zn 0.0000 0.0000 0.0000
Ru 3.6257 3.6257 3.6257
```